#A
Material: SrLiNdCoO4
Method: DFT, PBE+U
State: optimized geometry

**Total magnetic moment**: 3.000 Bohr magnetons per cell

Lattice parameters (Å, degrees): 3.3599 3.8701 8.2847 90.42 90.24 90.27
Last column: nearest neighbours and their distance in Å.
Atoms (fractional coordinates):
Sr 0.0000 0.0000 0.0000  7 O 2.61-2.67
Li 0.5053 0.4992 0.2727  4 O 1.94-2.16
Nd 0.5063 0.4984 0.6592  3 O 2.26-2.51
Co 0.0084 0.9990 0.3950  4 O 1.96-2.12
O 0.0088 0.5006 0.4362  2 Co 1.96-1.97, 2 Li 2.15-2.16
O 0.4967 0.5000 0.9313  1 Nd 2.26
O 0.5029 0.0020 0.2411  2 Li 1.94-1.97, 2 Co 2.10-2.12
O 0.9890 0.0004 0.6776  1 Co 2.34, 4 Nd 2.53-2.62



#B
Material: SrLiNdCoO4
Method: DFT, PBE+U
State: optimized geometry

**Total magnetic moment**: 3.000 Bohr magnetons per cell

Lattice parameters (Å, degrees): 3.8305 4.1670 7.2268 89.36 82.05 89.88
Last column: nearest neighbours and their distance in Å.
Atoms (fractional coordinates):
Sr 0.0000 0.0000 0.0000  5 O 2.44-2.68
Li 0.5053 0.4949 0.7259  3 O 1.94-2.16
Nd 0.9285 0.9989 0.4934  5 O 2.32-2.41
Co 0.4452 0.4992 0.2716  4 O 2.00-2.10
O 0.1229 0.4965 0.5761  1 Li 1.94
O 0.4841 0.9969 0.2921  2 Co 2.09-2.10
O 0.5619 0.9974 0.7844  2 Li 2.13-2.16, 1 Nd 2.36
O 0.9695 0.4972 0.1867  2 Co 2.00-2.02



#C
Material: SrLiNdCoO4
Method: DFT, PBE+U
State: optimized geometry

**Total magnetic moment**: 3.000 Bohr magnetons per cell

Lattice parameters (Å, degrees): 3.3766 3.8812 8.1930 90.57 90.19 90.29
Last column: nearest neighbours and their distance in Å.
Atoms (fractional coordinates):
Sr 0.0000 0.0000 0.0000  7 O 2.61-2.65
Li 0.4948 0.5027 0.7273  3 O 1.93-2.15
Nd 0.4913 0.5173 0.3398  4 O 2.25-2.50
Co 0.9917 0.0142 0.6043  4 O 1.93-2.08
O 0.0131 0.9989 0.3188  1 Co 2.34, 3 Nd 2.48-2.58, 1 Sr 2.61
O 0.4936 0.9983 0.7526  2 Li 1.93-1.97, 2 Co 2.08
O 0.5038 0.5005 0.0649  1 Nd 2.25
O 0.9874 0.5016 0.5619  2 Co 1.93-2.02, 1 Li 2.15



#D
Material: SrLiNdCoO4
Method: DFT, PBE+U
State: optimized geometry

**Total magnetic moment**: 2.640 Bohr magnetons per cell

Lattice parameters (Å, degrees): 3.7428 3.7472 9.3146 100.76 100.65 90.69
Last column: nearest neighbours and their distance in Å.
Atoms (fractional coordinates):
Sr 0.0000 0.0000 0.0000  1 O 2.28
Li 0.2202 0.2177 0.3992  4 O 2.03-2.04
Nd 0.3597 0.3590 0.6996  1 O 2.35
Co 0.7532 0.7509 0.4698  4 O 1.88
O 0.2608 0.7584 0.4860  2 Co 1.88, 2 Li 2.03
O 0.4828 0.4823 0.9608  1 Nd 2.35
O 0.7622 0.2604 0.4898  2 Co 1.88, 2 Li 2.04
O 0.8844 0.8820 0.7459  1 Sr 2.28, 1 Co 2.48



Of them, #C has the highest stability.



#A
Material: LiCo3NiO8
Method: DFT, PBE+U
State: optimized geometry

**Total magnetic moment**: 5.999 Bohr magnetons per cell

Lattice parameters (Å, degrees): 5.6945 6.0029 9.8598 105.77 90.39 118.28
Last column: nearest neighbours and their distance in Å.
Atoms (fractional coordinates):
Li 0.2473 0.0023 0.2499  6 O 2.07-2.29
Li 0.7527 0.9977 0.7501  6 O 2.07-2.29
Co 0.0000 0.5000 0.0000  6 O 1.87-1.90
Co 0.2361 0.4918 0.7488  6 O 1.86-1.91
Co 0.2603 0.5009 0.2500  6 O 1.87-1.91
Co 0.5000 0.5000 0.5000  6 O 1.85-1.92
Co 0.7397 0.4991 0.7500  6 O 1.87-1.91
Co 0.7639 0.5082 0.2512  6 O 1.86-1.91
Ni 0.0000 0.5000 0.5000  6 O 1.91-2.07
Ni 0.5000 0.5000 0.0000  6 O 1.90-2.09
O 0.0858 0.6864 0.8634  3 Co 1.89-1.90
O 0.1085 0.6946 0.3616  2 Co 1.88-1.89, 1 Ni 1.95
O 0.1188 0.2930 0.8748  2 Co 1.86-1.87, 1 Li 2.07, 1 Ni 2.09
O 0.1747 0.2995 0.3759  2 Co 1.85-1.87, 1 Ni 2.07
O 0.3443 0.6899 0.1137  2 Co 1.89-1.91, 1 Ni 1.90
O 0.3462 0.6867 0.6164  2 Co 1.89-1.90, 1 Ni 1.91
O 0.3974 0.3060 0.6351  3 Co 1.88-1.92
O 0.4174 0.3128 0.1396  2 Co 1.89, 1 Ni 1.93
O 0.5826 0.6872 0.8604  2 Co 1.89, 1 Ni 1.93
O 0.6026 0.6940 0.3649  3 Co 1.88-1.92
O 0.6538 0.3133 0.3836  2 Co 1.89-1.90, 1 Ni 1.91
O 0.6557 0.3101 0.8863  2 Co 1.89-1.91, 1 Ni 1.90
O 0.8253 0.7005 0.6241  2 Co 1.85-1.87, 1 Ni 2.07
O 0.8812 0.7070 0.1252  2 Co 1.86-1.87, 1 Li 2.07, 1 Ni 2.09
O 0.8915 0.3054 0.6384  2 Co 1.88-1.89, 1 Ni 1.95
O 0.9142 0.3136 0.1366  3 Co 1.89-1.90



#B
Material: LiCo3NiO8
Method: DFT, PBE+U
State: optimized geometry

Lattice parameters (Å, degrees): 5.9851 5.9851 5.9851 56.64 56.64 56.64
Last column: nearest neighbours and their distance in Å.
Atoms (fractional coordinates):
Li 0.0000 0.0000 0.0000  6 O 2.18
Co 0.0000 0.0000 0.5000  6 O 1.88-1.89
Co 0.0000 0.5000 0.0000  6 O 1.88-1.89
Co 0.5000 0.0000 0.0000  6 O 1.88-1.89
Ni 0.5000 0.5000 0.5000  6 O 1.98
O 0.2160 0.7397 0.7397  2 Co 1.88, 1 Ni 1.98
O 0.2292 0.2292 0.2292  3 Co 1.89
O 0.2603 0.2603 0.7840  2 Co 1.88, 1 Ni 1.98
O 0.2603 0.7840 0.2603  2 Co 1.88, 1 Ni 1.98
O 0.7397 0.2160 0.7397  2 Co 1.88, 1 Ni 1.98
O 0.7397 0.7397 0.2160  2 Co 1.88, 1 Ni 1.98
O 0.7708 0.7708 0.7708  3 Co 1.89
O 0.7840 0.2603 0.2603  2 Co 1.88, 1 Ni 1.98



Of them, #A has the highest stability.



#A
Material: Li2Co3NiO8
Method: DFT, PBE+U
State: optimized geometry

**Total magnetic moment**: 5.000 Bohr magnetons per cell

Lattice parameters (Å, degrees): 5.6405 5.6405 5.8244 118.63 118.63 61.08
Last column: nearest neighbours and their distance in Å.
Atoms (fractional coordinates):
Li 0.0000 0.0000 0.0000  6 O 2.10-2.15
Li 0.5000 0.5000 0.0000  6 O 2.14-2.17
Co 0.0000 0.0000 0.5000  6 O 1.93
Co 0.0000 0.5000 0.5000  6 O 1.86-1.90
Co 0.5000 0.0000 0.5000  6 O 1.86-1.90
Ni 0.5000 0.5000 0.5000  6 O 1.91-2.00
O 0.2214 0.7400 0.7112  2 Co 1.86-1.93, 1 Ni 2.00
O 0.2382 0.2382 0.7032  3 Co 1.90-1.93
O 0.2600 0.7786 0.2888  2 Co 1.86-1.93, 1 Ni 2.00
O 0.2636 0.2636 0.3015  2 Co 1.89, 1 Ni 1.91
O 0.7364 0.7364 0.6985  2 Co 1.89, 1 Ni 1.91
O 0.7400 0.2214 0.7112  2 Co 1.86-1.93, 1 Ni 2.00
O 0.7618 0.7618 0.2968  3 Co 1.90-1.93
O 0.7786 0.2600 0.2888  2 Co 1.86-1.93, 1 Ni 2.00



#B
Material: Li2Co3NiO8
Method: DFT, PBE+U
State: optimized geometry

**Total magnetic moment**: 6.999 Bohr magnetons per cell

Lattice parameters (Å, degrees): 5.7188 5.7631 5.8742 90.36 119.10 118.69
Last column: nearest neighbours and their distance in Å.
Atoms (fractional coordinates):
Li 0.0000 0.0000 0.0000  6 O 2.12-2.15
Li 0.5000 0.0000 0.0000  6 O 2.12-2.15
Co 0.0000 0.0000 0.5000  6 O 1.88-1.90
Co 0.0000 0.5000 0.5000  6 O 1.97-2.04
Co 0.5000 0.5000 0.5000  6 O 1.96-2.05
Ni 0.5000 0.0000 0.5000  6 O 1.88-1.89
O 0.0093 0.2423 0.2868  3 Co 1.88-2.05
O 0.0473 0.7884 0.2966  1 Ni 1.89, 2 Co 1.90-2.04
O 0.4550 0.2115 0.7029  1 Ni 1.89, 2 Co 1.90-2.04
O 0.4879 0.7549 0.7111  1 Ni 1.88, 2 Co 1.96-2.04
O 0.5121 0.2451 0.2889  1 Ni 1.88, 2 Co 1.96-2.04
O 0.5450 0.7885 0.2971  1 Ni 1.89, 2 Co 1.90-2.04
O 0.9527 0.2116 0.7034  1 Ni 1.89, 2 Co 1.90-2.04
O 0.9907 0.7577 0.7132  3 Co 1.88-2.05



Of them, #A has the highest stability.



#A
Material: Li2Co3NiO8
Method: DFT, PBE+U
State: optimized geometry

**Total magnetic moment**: 1.642 Bohr magnetons per cell

Lattice parameters (Å, degrees): 5.6008 5.6851 10.2612 75.18 74.46 60.91
Last column: nearest neighbours and their distance in Å.
Atoms (fractional coordinates):
Li 0.2434 0.2589 0.2470  5 O 2.04-2.17
Li 0.2479 0.2542 0.7473  6 O 2.04-2.27
Li 0.7521 0.7458 0.2527  6 O 2.04-2.27
Li 0.7566 0.7411 0.7530  5 O 2.04-2.17
Co 0.0000 0.0000 0.0000  6 O 1.88-2.08
Co 0.0000 0.0000 0.5000  6 O 1.89-2.11
Co 0.0000 0.5000 0.0000  6 O 1.90-1.91
Co 0.5000 0.0000 0.5000  6 O 1.90-1.92
Co 0.5000 0.5000 0.0000  6 O 1.88-1.93
Co 0.5000 0.5000 0.5000  6 O 1.90-1.91
Ni 0.0000 0.5000 0.5000  6 O 1.87-1.88
Ni 0.5000 0.0000 0.0000  6 O 1.88-1.89
O 0.1281 0.1444 0.5972  1 Ni 1.88, 2 Co 1.89-1.91
O 0.1350 0.1373 0.0972  1 Ni 1.88, 2 Co 1.88-1.91
O 0.1422 0.6020 0.6093  1 Ni 1.87, 1 Co 1.90, 1 Li 2.04
O 0.1465 0.6070 0.1085  3 Co 1.88-2.08, 1 Li 2.04
O 0.3634 0.3622 0.4007  1 Ni 1.88, 2 Co 1.91-1.92
O 0.3701 0.3554 0.9007  1 Ni 1.89, 2 Co 1.91
O 0.3735 0.8572 0.3986  3 Co 1.90-1.93
O 0.3782 0.8622 0.8972  1 Ni 1.88, 2 Co 1.93-1.96
O 0.6218 0.1378 0.1028  1 Ni 1.88, 2 Co 1.93-1.96
O 0.6265 0.1428 0.6014  3 Co 1.90-1.93
O 0.6299 0.6446 0.0993  1 Ni 1.89, 2 Co 1.91
O 0.6365 0.6378 0.5993  1 Ni 1.88, 2 Co 1.91-1.92
O 0.8535 0.3930 0.8915  3 Co 1.88-2.08, 1 Li 2.04
O 0.8578 0.3980 0.3907  1 Ni 1.87, 1 Co 1.90, 1 Li 2.04
O 0.8650 0.8627 0.9028  1 Ni 1.88, 2 Co 1.88-1.91
O 0.8719 0.8556 0.4028  1 Ni 1.88, 2 Co 1.89-1.91



#B
Material: Li2Co3NiO8
Method: DFT, PBE+U
State: optimized geometry

**Total magnetic moment**: 10.994 Bohr magnetons per cell

Lattice parameters (Å, degrees): 5.6509 5.6509 5.6509 60.23 60.23 60.23
Last column: nearest neighbours and their distance in Å.
Atoms (fractional coordinates):
Li 0.1254 0.1254 0.1254  4 O 1.93-1.94
Li 0.8746 0.8746 0.8746  4 O 1.93-1.94
Co 0.0000 0.5000 0.5000  6 O 1.89-1.90
Co 0.5000 0.0000 0.5000  6 O 1.89-1.90
Co 0.5000 0.5000 0.0000  6 O 1.89-1.90
Ni 0.5000 0.5000 0.5000  6 O 1.89
O 0.2650 0.2650 0.7091  1 Ni 1.89, 2 Co 1.90, 1 Li 1.93
O 0.2650 0.7091 0.2650  1 Ni 1.89, 2 Co 1.90, 1 Li 1.93
O 0.2656 0.2656 0.2656  3 Co 1.89, 1 Li 1.94
O 0.2909 0.7350 0.7350  1 Ni 1.89, 2 Co 1.90, 1 Li 1.93
O 0.7091 0.2650 0.2650  1 Ni 1.89, 2 Co 1.90, 1 Li 1.93
O 0.7344 0.7344 0.7344  3 Co 1.89, 1 Li 1.94
O 0.7350 0.2909 0.7350  1 Ni 1.89, 2 Co 1.90, 1 Li 1.93
O 0.7350 0.7350 0.2909  1 Ni 1.89, 2 Co 1.90, 1 Li 1.93



#C
Material: Li2Co3NiO8
Method: DFT, PBE+U
State: optimized geometry

**Total magnetic moment**: 9.999 Bohr magnetons per cell

Lattice parameters (Å, degrees): 5.6383 5.6383 9.4550 90.00 90.00 120.00
Last column: nearest neighbours and their distance in Å.
Atoms (fractional coordinates):
Li 0.0000 0.0000 0.0000  4 O 1.75-1.87
Li 0.0000 0.0000 0.5000  4 O 1.75-1.87
Li 0.3333 0.6667 0.3953  4 O 1.91-2.03
Li 0.6667 0.3333 0.8953  4 O 1.91-2.03
Co 0.1685 0.3370 0.7163  6 O 1.87-1.90
Co 0.1685 0.8315 0.7163  6 O 1.87-1.90
Co 0.3370 0.1685 0.2163  6 O 1.87-1.90
Co 0.6630 0.8315 0.7163  6 O 1.87-1.90
Co 0.8315 0.1685 0.2163  6 O 1.87-1.90
Co 0.8315 0.6630 0.2163  6 O 1.87-1.90
Ni 0.3333 0.6667 0.9924  6 O 2.05-2.12
Ni 0.6667 0.3333 0.4924  6 O 2.05-2.12
O 0.0000 0.0000 0.3147  1 Li 1.75, 3 Co 1.89
O 0.0000 0.0000 0.8147  1 Li 1.75, 3 Co 1.89
O 0.0361 0.5180 0.8283  2 Co 1.87, 1 Li 1.91
O 0.1581 0.3163 0.1117  1 Li 1.87, 2 Co 1.88, 1 Ni 2.05
O 0.1581 0.8419 0.1117  1 Li 1.87, 2 Co 1.88, 1 Ni 2.05
O 0.3163 0.1581 0.6117  1 Li 1.87, 2 Co 1.88, 1 Ni 2.05
O 0.3333 0.6667 0.6104  3 Co 1.90, 1 Li 2.03
O 0.4820 0.5180 0.8283  2 Co 1.87, 1 Li 1.91
O 0.4820 0.9639 0.8283  2 Co 1.87, 1 Li 1.91
O 0.5180 0.0361 0.3283  2 Co 1.87, 1 Li 1.91
O 0.5180 0.4820 0.3283  2 Co 1.87, 1 Li 1.91
O 0.6667 0.3333 0.1104  3 Co 1.90, 1 Li 2.03
O 0.6837 0.8419 0.1117  1 Li 1.87, 2 Co 1.88, 1 Ni 2.05
O 0.8419 0.1581 0.6117  1 Li 1.87, 2 Co 1.88, 1 Ni 2.05
O 0.8419 0.6837 0.6117  1 Li 1.87, 2 Co 1.88, 1 Ni 2.05
O 0.9639 0.4820 0.3283  2 Co 1.87, 1 Li 1.91



Of them, #C has the highest stability.



#A
Material: Li3Co3NiO8
Method: DFT, PBE+U
State: optimized geometry

**Total magnetic moment**: 0.000 Bohr magnetons per cell

Lattice parameters (Å, degrees): 5.6422 5.6422 9.2458 90.00 90.00 120.00
Last column: nearest neighbours and their distance in Å.
Atoms (fractional coordinates):
Li 0.1694 0.3387 0.0000  6 O 2.00-2.16
Li 0.1694 0.8306 0.0000  6 O 2.00-2.16
Li 0.3387 0.1694 0.5000  6 O 2.00-2.16
Li 0.6613 0.8306 0.0000  6 O 2.00-2.16
Li 0.8306 0.1694 0.5000  6 O 2.00-2.16
Li 0.8306 0.6613 0.5000  6 O 2.00-2.16
Co 0.1672 0.3344 0.7329  6 O 1.89-1.92
Co 0.1672 0.8328 0.7329  6 O 1.89-1.92
Co 0.3344 0.1672 0.2329  6 O 1.89-1.92
Co 0.6656 0.8328 0.7329  6 O 1.89-1.92
Co 0.8328 0.1672 0.2329  6 O 1.89-1.92
Co 0.8328 0.6656 0.2329  6 O 1.89-1.92
Ni 0.3333 0.6667 0.4551  6 O 2.02-2.08
Ni 0.6667 0.3333 0.9551  6 O 2.02-2.08
O 0.0000 0.0000 0.1254  3 Co 1.91, 3 Li 2.02
O 0.0000 0.0000 0.6254  3 Co 1.91, 3 Li 2.02
O 0.0321 0.5161 0.6146  2 Co 1.90, 2 Li 2.00, 1 Ni 2.08
O 0.1537 0.3073 0.3462  2 Co 1.89, 1 Ni 2.02
O 0.1537 0.8463 0.3462  2 Co 1.89, 1 Ni 2.02
O 0.3073 0.1537 0.8462  2 Co 1.89, 1 Ni 2.02
O 0.3333 0.6667 0.8439  3 Co 1.92
O 0.4839 0.5161 0.6146  2 Co 1.90, 2 Li 2.00, 1 Ni 2.08
O 0.4839 0.9679 0.6146  2 Co 1.90, 2 Li 2.00, 1 Ni 2.08
O 0.5161 0.0321 0.1146  2 Co 1.90, 2 Li 2.00, 1 Ni 2.08
O 0.5161 0.4839 0.1146  2 Co 1.90, 2 Li 2.00, 1 Ni 2.08
O 0.6667 0.3333 0.3439  3 Co 1.92
O 0.6927 0.8463 0.3462  2 Co 1.89, 1 Ni 2.02
O 0.8463 0.1537 0.8462  2 Co 1.89, 1 Ni 2.02
O 0.8463 0.6927 0.8462  2 Co 1.89, 1 Ni 2.02
O 0.9679 0.4839 0.1146  2 Co 1.90, 2 Li 2.00, 1 Ni 2.08



#B
Material: Li3Co3NiO8
Method: DFT, PBE+U
State: optimized geometry

**Total magnetic moment**: 2.032 Bohr magnetons per cell

Lattice parameters (Å, degrees): 5.7705 5.7705 5.8983 119.10 119.10 61.00
Last column: nearest neighbours and their distance in Å.
Atoms (fractional coordinates):
Li 0.0000 0.0000 0.0000  6 O 2.08-2.12
Li 0.0000 0.5000 0.0000  6 O 2.13-2.17
Li 0.5000 0.0000 0.0000  6 O 2.13-2.17
Co 0.0000 0.0000 0.5000  6 O 1.89
Co 0.0000 0.5000 0.5000  6 O 1.96-2.04
Co 0.5000 0.0000 0.5000  6 O 1.96-2.04
Ni 0.5000 0.5000 0.5000  6 O 2.03-2.06
O 0.2183 0.7578 0.7121  2 Co 1.89-1.96, 1 Ni 2.06
O 0.2301 0.2301 0.7196  3 Co 1.89-2.04
O 0.2422 0.7817 0.2879  2 Co 1.89-1.96, 1 Ni 2.06
O 0.2523 0.2523 0.2726  2 Co 1.99, 1 Ni 2.03, 3 Li 2.08-2.17
O 0.7477 0.7477 0.7274  2 Co 1.99, 1 Ni 2.03, 3 Li 2.08-2.17
O 0.7578 0.2183 0.7121  2 Co 1.89-1.96, 1 Ni 2.06
O 0.7699 0.7699 0.2804  3 Co 1.89-2.04
O 0.7817 0.2422 0.2879  2 Co 1.89-1.96, 1 Ni 2.06



Of them, #B has the highest stability.



#A
Material: Li2CoNiO4
Method: DFT, PBE+U
State: optimized geometry

**Total magnetic moment**: 1.993 Bohr magnetons per cell

Lattice parameters (Å, degrees): 5.7909 5.7909 5.7909 120.64 120.42 89.09
Last column: nearest neighbours and their distance in Å.
Atoms (fractional coordinates):
Li 0.0000 0.0000 0.0000  6 O 2.07-2.11
Li 0.5000 0.0000 0.0000  6 O 2.12-2.20
Li 0.5000 0.0000 0.5000  6 O 2.07-2.11
Li 0.5000 0.5000 0.5000  6 O 2.12-2.20
Co 0.0000 0.0000 0.5000  6 O 1.93-1.94
Co 0.0000 0.5000 0.0000  6 O 1.93-1.94
Ni 0.0000 0.5000 0.5000  6 O 1.96-2.07
Ni 0.5000 0.5000 0.0000  6 O 1.96-2.07
O 0.2282 0.2498 0.9784  2 Co 1.94, 3 Li 2.07-2.12, 1 Ni 2.07
O 0.2285 0.7502 0.4784  2 Co 1.94, 3 Li 2.07-2.12, 1 Ni 2.07
O 0.2338 0.2520 0.5182  1 Co 1.93, 2 Ni 1.96, 2 Li 2.11
O 0.2338 0.7156 0.9818  1 Co 1.93, 2 Ni 1.96, 2 Li 2.11
O 0.7662 0.2844 0.0182  1 Co 1.93, 2 Ni 1.96, 2 Li 2.11
O 0.7662 0.7480 0.4818  1 Co 1.93, 2 Ni 1.96, 2 Li 2.11
O 0.7715 0.2498 0.5216  2 Co 1.94, 3 Li 2.07-2.12, 1 Ni 2.07
O 0.7718 0.7502 0.0216  2 Co 1.94, 3 Li 2.07-2.12, 1 Ni 2.07



#B
Material: Li2CoNiO4
Method: DFT, PBE+U
State: optimized geometry

**Total magnetic moment**: 6.001 Bohr magnetons per cell

Lattice parameters (Å, degrees): 5.8536 5.8536 5.0214 105.66 105.66 61.28
Last column: nearest neighbours and their distance in Å.
Atoms (fractional coordinates):
Li 0.0000 0.5000 0.5000  6 O 2.03-2.15
Li 0.2498 0.2498 0.0027  6 O 2.14-2.29
Li 0.5000 0.0000 0.5000  6 O 2.03-2.15
Li 0.7502 0.7502 0.9973  6 O 2.14-2.29
Co 0.0000 0.0000 0.5000  2 O 1.82
Co 0.5000 0.5000 0.5000  2 O 1.80
Ni 0.2492 0.7508 0.0000  6 O 2.05-2.08
Ni 0.7508 0.2492 0.0000  6 O 2.05-2.08
O 0.1096 0.1096 0.2715  1 Co 1.82
O 0.1293 0.6301 0.2611  3 Li 2.03-2.14, 1 Ni 2.05, 2 Co 2.05-2.06
O 0.3699 0.8707 0.7389  3 Li 2.03-2.14, 1 Ni 2.05, 2 Co 2.05-2.06
O 0.3941 0.3941 0.7290  1 Co 1.80
O 0.6059 0.6059 0.2710  1 Co 1.80
O 0.6301 0.1293 0.2611  3 Li 2.03-2.14, 1 Ni 2.05, 2 Co 2.05-2.06
O 0.8707 0.3699 0.7389  3 Li 2.03-2.14, 1 Ni 2.05, 2 Co 2.05-2.06
O 0.8904 0.8904 0.7285  1 Co 1.82



Of them, #A has the highest stability.